[1]
{
  "formula": "NiO2",
  "functional": "PBE with a Hubbard U",
  "state": "optimized geometry",
  "cell": [[-1.399, -2.424, 0.000], [-1.399, 2.424, 0.000], [0.000, 0.000, -4.618]],
  "species": ["Ni", "O", "O"],
  "fractional_positions": [[0.000, 0.000, 0.500], [0.333, 0.667, 0.294], [0.667, 0.333, 0.706]],
  "density_g_cm3": 4.807,
  "crystal_system": "trigonal",
  "formation_enthalpy_0k_mev_per_atom": -681,
  "volume_a3_per_cell": 31.3
}



[2]
{
  "formula": "NiO",
  "functional": "PBE with a Hubbard U",
  "state": "optimized geometry",
  "cell": [[-1.607, 2.483, -0.390], [2.979, 0.145, 0.057], [-1.404, 0.104, -4.964]],
  "species": ["Ni", "Ni", "O", "O"],
  "fractional_positions": [[0.000, 0.000, 0.000], [0.500, 0.500, 0.500], [0.250, 0.750, 0.250], [0.750, 0.250, 0.750]],
  "density_g_cm3": 6.618,
  "formation_enthalpy_0k_mev_per_atom": -1218,
  "volume_a3_per_cell": 37.5
}



[3]
{
  "formula": "NiO2",
  "functional": "PBE with a Hubbard U",
  "state": "optimized geometry",
  "cell": [[-2.263, 0.096, 1.653], [-4.694, -2.710, -6.267], [1.655, -9.360, 2.808]],
  "species": ["Ni", "Ni", "Ni", "Ni", "Ni", "Ni", "Ni", "Ni", "O", "O", "O", "O", "O", "O", "O", "O", "O", "O", "O", "O", "O", "O", "O", "O"],
  "fractional_positions": [[0.750, 0.450, 0.384], [0.750, 0.950, 0.116], [0.250, 0.550, 0.616], [0.250, 0.050, 0.884], [0.750, 0.410, 0.903], [0.250, 0.090, 0.403], [0.750, 0.910, 0.597], [0.250, 0.590, 0.097], [0.750, 0.617, 0.974], [0.250, 0.089, 0.067], [0.750, 0.689, 0.661], [0.250, 0.811, 0.161], [0.250, 0.383, 0.026], [0.250, 0.942, 0.715], [0.250, 0.311, 0.339], [0.750, 0.411, 0.567], [0.750, 0.117, 0.526], [0.750, 0.058, 0.285], [0.250, 0.442, 0.785], [0.250, 0.883, 0.474], [0.750, 0.558, 0.215], [0.750, 0.911, 0.933], [0.250, 0.589, 0.433], [0.750, 0.189, 0.839]],
  "density_g_cm3": 5.233,
  "crystal_system": "orthorhombic",
  "formation_enthalpy_0k_mev_per_atom": -601,
  "volume_a3_per_cell": 230.2
}



[4]
{
  "formula": "Ni4O3",
  "functional": "PBE with a Hubbard U",
  "state": "optimized geometry",
  "cell": [[4.164, 0.000, 0.000], [0.000, 4.164, 0.000], [0.000, 0.000, 4.164]],
  "species": ["Ni", "Ni", "Ni", "Ni", "O", "O", "O"],
  "fractional_positions": [[0.000, 0.500, 0.000], [0.500, 0.000, 0.000], [0.500, 0.500, 0.500], [0.000, 0.000, 0.500], [0.500, 0.000, 0.500], [0.000, 0.500, 0.500], [0.500, 0.500, 0.000]],
  "density_g_cm3": 6.503,
  "crystal_system": "cubic",
  "formation_enthalpy_0k_mev_per_atom": -613,
  "volume_a3_per_cell": 72.2
}



[5]
{
  "formula": "Ni4O",
  "functional": "PBE with a Hubbard U",
  "state": "optimized geometry",
  "cell": [[3.863, 0.000, 0.000], [0.000, 3.863, 0.000], [0.000, 0.000, 3.863]],
  "species": ["Ni", "Ni", "Ni", "Ni", "O"],
  "fractional_positions": [[0.000, 0.000, 0.000], [0.500, 0.500, 0.000], [0.500, 0.000, 0.500], [0.000, 0.500, 0.500], [0.500, 0.500, 0.500]],
  "density_g_cm3": 7.226,
  "crystal_system": "cubic",
  "formation_enthalpy_0k_mev_per_atom": 903,
  "volume_a3_per_cell": 57.6
}



[6]
{
  "formula": "NiO2",
  "functional": "PBE with a Hubbard U",
  "state": "optimized geometry",
  "cell": [[0.000, 3.971, 3.971], [3.971, 0.000, 3.971], [3.971, 3.971, 0.000]],
  "species": ["Ni", "Ni", "Ni", "Ni", "O", "O", "O", "O", "O", "O", "O", "O"],
  "fractional_positions": [[0.125, 0.125, 0.125], [0.125, 0.125, 0.625], [0.125, 0.625, 0.125], [0.625, 0.125, 0.125], [0.918, 0.361, 0.361], [0.361, 0.361, 0.361], [0.332, 0.889, 0.889], [0.889, 0.889, 0.332], [0.889, 0.889, 0.889], [0.889, 0.332, 0.889], [0.361, 0.361, 0.918], [0.361, 0.918, 0.361]],
  "density_g_cm3": 4.810,
  "crystal_system": "cubic",
  "formation_enthalpy_0k_mev_per_atom": -674,
  "volume_a3_per_cell": 125.2
}